A plane-wave DFT calculation with GGA-PBE was carried out for a relaxed TaO2 crystal.

- Mass density: 9.81 g/cm3
- M_tot: 0.00 μB per cell

abc: 5.007 5.007 2.876
angles: 90.00 90.00 90.00
Space group P4_2/mnm (No. 136)
One atom of each set of equivalent atoms:
Ta 0.000 0.000 0.000 (multiplicity 2)
O 0.215 0.215 0.500 (multiplicity 4)

A plane-wave DFT calculation with GGA-PBE was carried out for a relaxed Li3NbN2 crystal.

- Mass density: 3.81 g/cm3
- M_tot: 1.09 μB per cell

abc: 9.965 9.965 9.965
angles: 90.00 90.00 90.00
Space group Ia-3 (No. 206)
One atom of each set of equivalent atoms:
Li 0.088 0.143 0.860 (multiplicity 48)
Nb 0.131 0.131 0.131 (multiplicity 16)
N 0.000 0.250 0.015 (multiplicity 24)
N 0.250 0.250 0.250 (multiplicity 8)

A plane-wave DFT calculation with GGA-PBE was carried out for a relaxed NbAl3P2S4O24 crystal.

- Mass density: 2.77 g/cm3
- M_tot: 0.00 μB per cell

abc: 8.420 8.429 21.822
angles: 89.70 89.78 60.13
Space group P1 (No. 1)
One atom of each set of equivalent atoms:
Nb 0.000 0.000 0.000 (multiplicity 1)
Nb 0.020 0.986 0.504 (multiplicity 1)
Nb 0.348 0.326 0.337 (multiplicity 1)
Al 0.010 0.987 0.787 (multiplicity 1)
Al 0.013 0.992 0.291 (multiplicity 1)
Al 0.347 0.330 0.623 (multiplicity 1)
Al 0.353 0.321 0.830 (multiplicity 1)
Al 0.354 0.324 0.122 (multiplicity 1)
Al 0.674 0.661 0.667 (multiplicity 1)
Al 0.675 0.655 0.454 (multiplicity 1)
Al 0.677 0.658 0.954 (multiplicity 1)
Al 0.682 0.652 0.165 (multiplicity 1)
P 0.306 0.975 0.392 (multiplicity 1)
P 0.412 0.642 0.563 (multiplicity 1)
P 0.665 0.390 0.062 (multiplicity 1)
P 0.717 0.988 0.889 (multiplicity 1)
P 0.741 0.282 0.393 (multiplicity 1)
P 0.995 0.716 0.393 (multiplicity 1)
S 0.014 0.286 0.890 (multiplicity 1)
S 0.055 0.324 0.224 (multiplicity 1)
S 0.059 0.611 0.727 (multiplicity 1)
S 0.306 0.699 0.891 (multiplicity 1)
S 0.345 0.621 0.224 (multiplicity 1)
S 0.346 0.038 0.727 (multiplicity 1)
S 0.402 0.945 0.062 (multiplicity 1)
S 0.636 0.325 0.727 (multiplicity 1)
S 0.643 0.029 0.224 (multiplicity 1)
S 0.668 0.945 0.563 (multiplicity 1)
S 0.967 0.383 0.563 (multiplicity 1)
S 0.968 0.646 0.062 (multiplicity 1)
O 0.039 0.160 0.233 (multiplicity 1)
O 0.043 0.793 0.736 (multiplicity 1)
O 0.047 0.789 0.450 (multiplicity 1)
O 0.052 0.167 0.947 (multiplicity 1)
O 0.137 0.359 0.280 (multiplicity 1)
O 0.142 0.495 0.782 (multiplicity 1)
O 0.152 0.487 0.071 (multiplicity 1)
O 0.153 0.354 0.571 (multiplicity 1)
O 0.173 0.524 0.384 (multiplicity 1)
O 0.176 0.293 0.170 (multiplicity 1)
O 0.176 0.529 0.673 (multiplicity 1)
O 0.177 0.303 0.883 (multiplicity 1)
O 0.181 0.800 0.234 (multiplicity 1)
O 0.182 0.018 0.737 (multiplicity 1)
O 0.183 0.026 0.450 (multiplicity 1)
O 0.190 0.781 0.947 (multiplicity 1)
O 0.215 0.817 0.554 (multiplicity 1)
O 0.216 0.954 0.335 (multiplicity 1)
O 0.217 0.963 0.054 (multiplicity 1)
O 0.221 0.821 0.838 (multiplicity 1)
O 0.312 0.155 0.672 (multiplicity 1)
O 0.312 0.532 0.171 (multiplicity 1)
O 0.321 0.153 0.384 (multiplicity 1)
O 0.322 0.519 0.883 (multiplicity 1)
O 0.376 0.130 0.071 (multiplicity 1)
O 0.378 0.483 0.572 (multiplicity 1)
O 0.380 0.121 0.782 (multiplicity 1)
O 0.383 0.502 0.280 (multiplicity 1)
O 0.481 0.830 0.117 (multiplicity 1)
O 0.486 0.683 0.901 (multiplicity 1)
O 0.487 0.688 0.619 (multiplicity 1)
O 0.494 0.819 0.403 (multiplicity 1)
O 0.507 0.355 0.071 (multiplicity 1)
O 0.510 0.128 0.571 (multiplicity 1)
O 0.510 0.637 0.216 (multiplicity 1)
O 0.511 0.856 0.719 (multiplicity 1)
O 0.512 0.866 0.006 (multiplicity 1)
O 0.518 0.361 0.782 (multiplicity 1)
O 0.519 0.621 0.505 (multiplicity 1)
O 0.524 0.111 0.280 (multiplicity 1)
O 0.533 0.161 0.881 (multiplicity 1)
O 0.546 0.299 0.384 (multiplicity 1)
O 0.553 0.151 0.171 (multiplicity 1)
O 0.555 0.288 0.673 (multiplicity 1)
O 0.645 0.865 0.507 (multiplicity 1)
O 0.646 0.497 0.003 (multiplicity 1)
O 0.657 0.487 0.718 (multiplicity 1)
O 0.658 0.849 0.215 (multiplicity 1)
O 0.706 0.820 0.906 (multiplicity 1)
O 0.711 0.827 0.617 (multiplicity 1)
O 0.712 0.464 0.118 (multiplicity 1)
O 0.712 0.469 0.403 (multiplicity 1)
O 0.809 0.025 0.948 (multiplicity 1)
O 0.812 0.160 0.450 (multiplicity 1)
O 0.819 0.161 0.736 (multiplicity 1)
O 0.822 0.015 0.234 (multiplicity 1)
O 0.835 0.966 0.556 (multiplicity 1)
O 0.838 0.687 0.406 (multiplicity 1)
O 0.843 0.193 0.053 (multiplicity 1)
O 0.849 0.193 0.335 (multiplicity 1)
O 0.850 0.463 0.902 (multiplicity 1)
O 0.851 0.689 0.117 (multiplicity 1)
O 0.851 0.955 0.837 (multiplicity 1)
O 0.852 0.461 0.617 (multiplicity 1)
O 0.876 0.490 0.217 (multiplicity 1)
O 0.876 0.632 0.718 (multiplicity 1)
O 0.888 0.622 0.006 (multiplicity 1)
O 0.889 0.489 0.507 (multiplicity 1)
O 0.975 0.826 0.335 (multiplicity 1)
O 0.981 0.197 0.838 (multiplicity 1)
O 0.984 0.197 0.556 (multiplicity 1)
O 0.991 0.813 0.055 (multiplicity 1)

A plane-wave DFT calculation with GGA-PBE was carried out for a relaxed Tb12Ge5S28 crystal.

- Mass density: 5.38 g/cm3
- M_tot: 0.01 μB per cell

abc: 9.914 11.449 11.454
angles: 96.94 115.64 115.65
Space group P1 (No. 1)
One atom of each set of equivalent atoms:
Tb 0.000 0.000 0.000 (multiplicity 1)
Tb 0.004 0.661 0.881 (multiplicity 1)
Tb 0.146 0.896 0.604 (multiplicity 1)
Tb 0.166 0.279 0.756 (multiplicity 1)
Tb 0.184 0.717 0.285 (multiplicity 1)
Tb 0.483 0.709 0.833 (multiplicity 1)
Tb 0.498 0.144 0.358 (multiplicity 1)
Tb 0.514 0.529 0.506 (multiplicity 1)
Tb 0.666 0.767 0.234 (multiplicity 1)
Tb 0.671 0.426 0.116 (multiplicity 1)
Tb 0.715 0.229 0.805 (multiplicity 1)
Tb 0.954 0.197 0.304 (multiplicity 1)
Ge 0.000 0.543 0.555 (multiplicity 1)
Ge 0.250 0.463 0.140 (multiplicity 1)
Ge 0.321 0.200 0.545 (multiplicity 1)
Ge 0.495 0.044 0.053 (multiplicity 1)
Ge 0.749 0.961 0.640 (multiplicity 1)
S 0.008 0.044 0.473 (multiplicity 1)
S 0.024 0.002 0.762 (multiplicity 1)
S 0.060 0.266 0.956 (multiplicity 1)
S 0.111 0.509 0.755 (multiplicity 1)
S 0.166 0.878 0.128 (multiplicity 1)
S 0.172 0.468 0.297 (multiplicity 1)
S 0.243 0.208 0.309 (multiplicity 1)
S 0.246 0.697 0.565 (multiplicity 1)
S 0.268 0.386 0.581 (multiplicity 1)
S 0.299 0.661 0.104 (multiplicity 1)
S 0.308 0.853 0.864 (multiplicity 1)
S 0.371 0.007 0.509 (multiplicity 1)
S 0.388 0.172 0.089 (multiplicity 1)
S 0.401 0.192 0.773 (multiplicity 1)
S 0.485 0.529 0.969 (multiplicity 1)
S 0.522 0.500 0.264 (multiplicity 1)
S 0.558 0.777 0.443 (multiplicity 1)
S 0.615 0.007 0.252 (multiplicity 1)
S 0.624 0.356 0.610 (multiplicity 1)
S 0.670 0.969 0.795 (multiplicity 1)
S 0.729 0.205 0.056 (multiplicity 1)
S 0.732 0.707 0.791 (multiplicity 1)
S 0.775 0.914 0.090 (multiplicity 1)
S 0.798 0.161 0.604 (multiplicity 1)
S 0.807 0.353 0.363 (multiplicity 1)
S 0.876 0.495 0.003 (multiplicity 1)
S 0.886 0.661 0.600 (multiplicity 1)
S 0.916 0.700 0.307 (multiplicity 1)

What did we get for total energy? Answer: -9.829 -5.961 -6.946 -5.799 eV/atom, in the order shown.